The following is a DFT calculation (PBE-GGA) of a geometry-optimized ZrCrCuS4 structure.

Results
The spin magnetization is 24.007 μB/cell. The space group is No. 29. As for the volume: 18.46 A^3/atom. As for the total energy: -352.47 eV for the cell shown. The calculation puts the corrected total energy (MP2020 scheme) at -6.5815 eV/atom. Its formation enthalpy at 0 K is -1032 meV per atom.

abc: 11.7604 7.0595 12.4526
angles: 90.00 90.00 90.00
Fractional coordinates of all 56 atoms:
1 Zr 0.0944 0.9050 0.6844
2 Cr 0.1618 0.6300 0.9506
3 S 0.4687 0.8762 0.3887
4 S 0.2376 0.1311 0.7866
5 Zr 0.6134 0.6094 0.3370
6 Zr 0.5944 0.0950 0.6844
7 Cr 0.6618 0.3700 0.9506
8 S 0.4727 0.3699 0.6492
9 Cr 0.3382 0.6300 0.4506
10 S 0.4627 0.8482 0.6438
11 Cr 0.1554 0.1302 0.9609
12 Cr 0.3446 0.1302 0.4609
13 S 0.7420 0.3673 0.7790
14 Cu 0.8918 0.6296 0.1846
15 Cu 0.1082 0.3704 0.6846
16 Cu 0.6273 0.1104 0.3077
17 S 0.7149 0.1173 0.5105
18 S 0.2784 0.3761 0.0195
19 S 0.0373 0.8482 0.1438
20 S 0.7624 0.8689 0.2866
21 Zr 0.3866 0.3906 0.8370
22 S 0.7580 0.3673 0.2790
23 Zr 0.1134 0.3906 0.3370
24 Cu 0.3727 0.8896 0.8077
25 S 0.9687 0.1238 0.3887
26 Zr 0.8866 0.6094 0.8370
27 S 0.7851 0.1173 0.0105
28 S 0.0273 0.3699 0.1492
29 S 0.5313 0.1238 0.8887
30 Cr 0.6554 0.8698 0.9609
31 S 0.2420 0.6327 0.7790
32 S 0.2216 0.3761 0.5195
33 S 0.7376 0.8689 0.7866
34 S 0.7216 0.6239 0.5195
35 Zr 0.4056 0.9050 0.1844
36 S 0.2851 0.8827 0.0105
37 S 0.4645 0.3845 0.3944
38 S 0.7784 0.6239 0.0195
39 S 0.2149 0.8827 0.5105
40 Cu 0.6082 0.6296 0.6846
41 S 0.0355 0.3845 0.8944
42 S 0.9727 0.6301 0.6492
43 S 0.5273 0.6301 0.1492
44 S 0.5373 0.1518 0.1438
45 S 0.0313 0.8762 0.8887
46 S 0.9627 0.1518 0.6438
47 S 0.2624 0.1311 0.2866
48 Zr 0.9056 0.0950 0.1844
49 S 0.2580 0.6327 0.2790
50 Cu 0.3918 0.3704 0.1846
51 Cu 0.1273 0.8896 0.3077
52 Cr 0.8382 0.3700 0.4506
53 Cu 0.8727 0.1104 0.8077
54 S 0.5355 0.6155 0.8944
55 Cr 0.8446 0.8698 0.4609
56 S 0.9645 0.6155 0.3944



The following is a DFT calculation (PBE-GGA) of a geometry-optimized TlBr structure.

Results
The space group is No. 225. As for the volume: 38.98 A^3/atom. As for the total energy: -5.77 eV for the cell shown. The calculation puts the corrected total energy (MP2020 scheme) at -3.1506 eV/atom. Its formation enthalpy at 0 K is -1151 meV per atom.

abc: 4.7950 4.7950 4.7950
angles: 60.00 60.00 60.00
Fractional coordinates of all 2 atoms:
1 Br 0.5000 0.5000 0.5000
2 Tl 0.0000 0.0000 0.0000



The following is a DFT calculation (PBE-GGA) of a geometry-optimized TbB4Ru structure.

Results
The space group is No. 55. As for the volume: 10.28 A^3/atom. As for the total energy: -177.53 eV for the cell shown. Its formation enthalpy at 0 K is -626 meV per atom.

abc: 3.5696 5.9763 11.5595
angles: 90.00 90.00 90.00
Fractional coordinates of all 24 atoms:
1 B 0.0000 0.1363 0.9694
2 B 0.0000 0.0241 0.6915
3 Tb 0.5000 0.6287 0.3500
4 B 0.0000 0.2112 0.8147
5 B 0.0000 0.6119 0.9534
6 B 0.0000 0.3637 0.4694
7 Tb 0.5000 0.3713 0.6500
8 Ru 0.5000 0.3606 0.9077
9 Ru 0.5000 0.6394 0.0923
10 B 0.0000 0.9759 0.3085
11 Ru 0.5000 0.1394 0.4077
12 B 0.0000 0.6363 0.5306
13 B 0.0000 0.3881 0.0466
14 B 0.0000 0.8637 0.0306
15 B 0.0000 0.1119 0.5466
16 Tb 0.5000 0.8713 0.8500
17 B 0.0000 0.7112 0.6853
18 B 0.0000 0.4759 0.1915
19 B 0.0000 0.2888 0.3147
20 B 0.0000 0.8881 0.4534
21 Tb 0.5000 0.1287 0.1500
22 B 0.0000 0.7888 0.1853
23 B 0.0000 0.5241 0.8085
24 Ru 0.5000 0.8606 0.5923



The following is a DFT calculation (PBE-GGA) of a geometry-optimized Zn4CdSe5 structure.

Results
The spin magnetization is 0.002 μB/cell. The space group is No. 160. As for the volume: 24.96 A^3/atom. As for the total energy: -30.11 eV for the cell shown. The calculation puts the corrected total energy (MP2020 scheme) at -3.2469 eV/atom. Its formation enthalpy at 0 K is -903 meV per atom.

abc: 17.1215 17.1215 17.1215
angles: 13.83 13.83 13.83
Fractional coordinates of all 10 atoms:
1 Se 0.3542 0.3542 0.3542
2 Se 0.1501 0.1501 0.1501
3 Zn 0.8007 0.8007 0.8007
4 Se 0.7518 0.7518 0.7518
5 Se 0.5484 0.5484 0.5484
6 Zn 0.5973 0.5973 0.5973
7 Cd 0.9989 0.9989 0.9989
8 Zn 0.4029 0.4029 0.4029
9 Zn 0.1992 0.1992 0.1992
10 Se 0.9464 0.9464 0.9464



The following is a DFT calculation (PBE-GGA) of a geometry-optimized BaSe2O6 structure.

Results
The spin magnetization is 0.745 μB/cell. The space group is No. 2. As for the volume: 16.74 A^3/atom. As for the total energy: -90.79 eV for the cell shown. The calculation puts the corrected total energy (MP2020 scheme) at -5.1514 eV/atom. Its formation enthalpy at 0 K is -863 meV per atom.

abc: 4.7284 7.3986 9.0878
angles: 72.49 85.41 84.35
Fractional coordinates of all 18 atoms:
1 O 0.6735 0.8318 0.2019
2 O 0.0939 0.4402 0.1614
3 O 0.5382 0.1843 0.3643
4 O 0.8022 0.7607 0.3454
5 O 0.2703 0.7916 0.0070
6 Se 0.3810 0.5691 0.1183
7 O 0.7453 0.1444 0.4595
8 Se 0.6190 0.4309 0.8817
9 O 0.1978 0.2393 0.6546
10 O 0.2547 0.8556 0.5405
11 Se 0.2087 0.5104 0.5660
12 O 0.9061 0.5598 0.8386
13 Ba 0.8381 0.9453 0.8023
14 O 0.3265 0.1682 0.7981
15 Se 0.7913 0.4896 0.4340
16 Ba 0.1619 0.0547 0.1977
17 O 0.4618 0.8157 0.6357
18 O 0.7297 0.2084 0.9930



The following is a DFT calculation (PBE-GGA) of a geometry-optimized Cr2CdSe3S structure.

Results
The spin magnetization is 12.000 μB/cell. The space group is No. 44. As for the volume: 22.16 A^3/atom. As for the total energy: -77.96 eV for the cell shown. The calculation puts the corrected total energy (MP2020 scheme) at -5.6403 eV/atom. Its formation enthalpy at 0 K is -661 meV per atom.

abc: 7.5995 7.5995 7.5995
angles: 120.20 119.81 89.99
Fractional coordinates of all 14 atoms:
1 Cr 0.6337 0.3750 0.2587
2 Cr 0.6297 0.3792 0.7495
3 Cr 0.1163 0.3750 0.7413
4 Cd 0.9890 0.9890 0.0000
5 Se 0.3927 0.6093 0.2166
6 Se 0.3904 0.6113 0.7792
7 Se 0.8608 0.1388 0.7219
8 Se 0.8321 0.6113 0.2208
9 S 0.8569 0.1425 0.2856
10 Cd 0.2520 0.7520 0.5000
11 Se 0.3927 0.1761 0.7834
12 Se 0.4169 0.1388 0.2781
13 Cr 0.6297 0.8802 0.2505
14 S 0.8569 0.5713 0.7144



The following is a DFT calculation (PBE-GGA) of a geometry-optimized TbRu3 structure.

Results
The spin magnetization is 0.643 μB/cell. The space group is No. 221. As for the volume: 16.70 A^3/atom. As for the total energy: -31.67 eV for the cell shown. Its formation enthalpy at 0 K is 197 meV per atom.

abc: 4.0576 4.0576 4.0576
angles: 90.00 90.00 90.00
Fractional coordinates of all 4 atoms:
1 Ru 0.5000 0.5000 0.0000
2 Ru 0.5000 0.0000 0.5000
3 Ru 0.0000 0.5000 0.5000
4 Tb 0.0000 0.0000 0.0000



The following is a DFT calculation (PBE-GGA) of a geometry-optimized TmGa structure.

Results
The space group is No. 63. As for the volume: 23.06 A^3/atom. As for the total energy: -17.50 eV for the cell shown. Its formation enthalpy at 0 K is -622 meV per atom.

abc: 5.7694 5.7694 3.9998
angles: 90.00 90.00 136.15
Fractional coordinates of all 4 atoms:
1 Tm 0.1391 0.8609 0.2500
2 Ga 0.5786 0.4214 0.7500
3 Tm 0.8609 0.1391 0.7500
4 Ga 0.4214 0.5786 0.2500



The following is a DFT calculation (PBE-GGA) of a geometry-optimized Ca2YNbO6 structure.

Results
The spin magnetization is 0.001 μB/cell. The space group is No. 14. As for the volume: 13.54 A^3/atom. As for the total energy: -161.85 eV for the cell shown. The calculation puts the corrected total energy (MP2020 scheme) at -8.5049 eV/atom. Its formation enthalpy at 0 K is -3478 meV per atom.

abc: 5.6550 5.8702 8.1576
angles: 90.00 89.60 90.00
Fractional coordinates of all 20 atoms:
1 O 0.3855 0.4539 0.7658
2 Nb 0.5000 0.5000 0.0000
3 O 0.7102 0.8162 0.5593
4 O 0.6145 0.5461 0.2342
5 Nb 0.0000 0.0000 0.5000
6 Y 0.5000 0.5000 0.5000
7 O 0.2898 0.1838 0.4407
8 O 0.2102 0.6838 0.0593
9 Y 0.0000 0.0000 0.0000
10 O 0.1145 0.9539 0.7342
11 O 0.8228 0.2896 0.5629
12 Ca 0.9856 0.5543 0.7493
13 O 0.8855 0.0461 0.2658
14 Ca 0.5144 0.0543 0.7507
15 O 0.3228 0.2104 0.0629
16 Ca 0.4856 0.9457 0.2493
17 O 0.1772 0.7104 0.4371
18 Ca 0.0144 0.4457 0.2507
19 O 0.7898 0.3162 0.9407
20 O 0.6772 0.7896 0.9371



The following is a DFT calculation (PBE-GGA) of a geometry-optimized LiMgSnAu structure.

Results
The spin magnetization is 0.001 μB/cell. The space group is No. 216. As for the volume: 18.90 A^3/atom. As for the total energy: -12.43 eV for the cell shown. Its formation enthalpy at 0 K is -408 meV per atom.

abc: 4.7462 4.7462 4.7462
angles: 60.00 60.00 60.00
Fractional coordinates of all 4 atoms:
1 Au 0.2500 0.2500 0.2500
2 Mg 0.5000 0.5000 0.5000
3 Sn 0.0000 0.0000 0.0000
4 Li 0.7500 0.7500 0.7500



The following is a DFT calculation (PBE-GGA) of a geometry-optimized K4Ge2Se6O3 structure.

Results
The spin magnetization is 0.139 μB/cell. The space group is No. 14. As for the volume: 30.67 A^3/atom. As for the total energy: -250.61 eV for the cell shown. The calculation puts the corrected total energy (MP2020 scheme) at -4.3143 eV/atom. Its formation enthalpy at 0 K is -1014 meV per atom.

abc: 15.5526 8.3580 14.2133
angles: 90.00 95.16 90.00
Fractional coordinates of all 60 atoms:
1 Se 0.7055 0.8486 0.4076
2 Ge 0.7904 0.5209 0.5800
3 Ge 0.3188 0.4900 0.2315
4 K 0.5767 0.5117 0.4103
5 Ge 0.6812 0.5100 0.7685
6 O 0.9563 0.7606 0.9801
7 K 0.1276 0.3923 0.6780
8 Se 0.7673 0.3573 0.4485
9 O 0.9563 0.7394 0.4801
10 K 0.8724 0.6077 0.3220
11 K 0.6715 0.4130 0.0931
12 Se 0.0677 0.1933 0.9070
13 K 0.6715 0.0870 0.5931
14 Se 0.3328 0.3235 0.3747
15 O 0.8999 0.8709 0.6387
16 O 0.0437 0.2394 0.0199
17 Se 0.8127 0.3661 0.7260
18 O 0.5540 0.2079 0.1232
19 O 0.0437 0.2606 0.5199
20 K 0.1083 0.9538 0.5390
21 K 0.3285 0.9130 0.4069
22 Se 0.8127 0.1339 0.2260
23 Se 0.1873 0.8661 0.7740
24 Se 0.9323 0.8067 0.0930
25 Ge 0.2096 0.0209 0.9200
26 Se 0.2327 0.6427 0.5515
27 Se 0.4402 0.8258 0.7531
28 K 0.8917 0.0462 0.4610
29 O 0.8999 0.6291 0.1387
30 Se 0.9323 0.6933 0.5930
31 K 0.3285 0.5870 0.9069
32 O 0.4460 0.7079 0.3768
33 Se 0.2327 0.8573 0.0515
34 Se 0.5598 0.1742 0.2469
35 K 0.1083 0.5462 0.0390
36 K 0.8917 0.4538 0.9610
37 K 0.4233 0.0117 0.0897
38 K 0.5767 0.9883 0.9103
39 O 0.4460 0.7921 0.8768
40 K 0.8724 0.8923 0.8220
41 Se 0.7055 0.6514 0.9076
42 Se 0.7673 0.1427 0.9485
43 Se 0.6672 0.6765 0.6253
44 O 0.5540 0.2921 0.6232
45 Ge 0.2096 0.4791 0.4200
46 Ge 0.6812 0.9900 0.2685
47 Se 0.4402 0.6742 0.2531
48 O 0.1001 0.1291 0.3613
49 Se 0.1873 0.6339 0.2740
50 Ge 0.3188 0.0100 0.7315
51 K 0.1276 0.1077 0.1780
52 O 0.1001 0.3709 0.8613
53 Se 0.0677 0.3067 0.4070
54 K 0.4233 0.4883 0.5897
55 Se 0.2945 0.1514 0.5924
56 Se 0.3328 0.1765 0.8747
57 Se 0.2945 0.3486 0.0924
58 Se 0.5598 0.3258 0.7469
59 Ge 0.7904 0.9791 0.0800
60 Se 0.6672 0.8235 0.1253



The following is a DFT calculation (PBE-GGA) of a geometry-optimized Cs3GaSe3 structure.

Results
The space group is No. 14. As for the volume: 40.02 A^3/atom. As for the total energy: -95.01 eV for the cell shown. The calculation puts the corrected total energy (MP2020 scheme) at -3.5955 eV/atom. Its formation enthalpy at 0 K is -1281 meV per atom.

abc: 14.0749 8.7098 11.3978
angles: 53.32 90.00 90.00
Fractional coordinates of all 28 atoms:
1 Se 0.6040 0.8641 0.6088
2 Se 0.9459 0.8889 0.7406
3 Se 0.8394 0.3461 0.6955
4 Ga 0.5570 0.0674 0.3409
5 Cs 0.8722 0.3768 0.9859
6 Se 0.0541 0.1111 0.2594
7 Cs 0.8068 0.8698 0.4149
8 Cs 0.3068 0.1302 0.0851
9 Se 0.1040 0.1359 0.8912
10 Cs 0.5785 0.3554 0.8868
11 Se 0.3960 0.1359 0.3912
12 Cs 0.1278 0.6232 0.0141
13 Se 0.5541 0.8889 0.2406
14 Cs 0.9215 0.3554 0.3868
15 Se 0.6606 0.3461 0.1955
16 Cs 0.6278 0.3768 0.4859
17 Cs 0.4215 0.6446 0.1132
18 Ga 0.9430 0.0674 0.8409
19 Se 0.3394 0.6539 0.8045
20 Cs 0.3722 0.6232 0.5141
21 Ga 0.4430 0.9326 0.6591
22 Ga 0.0570 0.9326 0.1591
23 Se 0.8960 0.8641 0.1088
24 Se 0.1606 0.6539 0.3045
25 Cs 0.1932 0.1302 0.5851
26 Se 0.4459 0.1111 0.7594
27 Cs 0.6932 0.8698 0.9149
28 Cs 0.0785 0.6446 0.6132